# Li4TiMn3P4O16 | the Materials Project | PBE+U | relaxed
data_Li4TiMn3P4O16
_chemical_formula_sum 'Li4 Ti1 Mn3 P4 O16'
_cell_length_a 4.779
_cell_length_b 6.158
_cell_length_c 10.595
_cell_angle_alpha 90.00
_cell_angle_beta 90.13
_cell_angle_gamma 90.00
_symmetry_space_group_name_H-M 'P 1 m 1'
_symmetry_Int_Tables_number 6
loop_
_symmetry_equiv_pos_as_xyz
'x,y,z'
'x,-y,z'
loop_
_atom_site_label
_atom_site_fract_x
_atom_site_fract_y
_atom_site_fract_z
Li1 0.000 0.249 0.000
Li2 0.501 0.250 0.500
Ti1 0.475 0.000 0.220
Mn1 0.028 0.000 0.719
Mn2 0.529 0.500 0.781
Mn3 0.974 0.500 0.281
P1 0.091 0.500 0.592
P2 0.412 0.500 0.091
P3 0.591 0.000 0.907
P4 0.911 0.000 0.408
O1 0.212 0.500 0.455
O2 0.225 0.299 0.661
O3 0.232 0.000 0.406
O4 0.269 0.000 0.904
O5 0.280 0.299 0.161
O6 0.288 0.500 0.955
O7 0.713 0.000 0.044
O8 0.725 0.201 0.838
O9 0.734 0.500 0.096
O10 0.770 0.500 0.596
O11 0.773 0.200 0.338
O12 0.789 0.000 0.544
# Energy relative to the elements in eV per formula unit: -73.672
# Magnetization in μB per formula unit: 16.99

=====

# Li9TiMn3P6O24 | the Materials Project | PBE+U | relaxed
data_Li9TiMn3P6O24
_chemical_formula_sum 'Li9 Ti1 Mn3 P6 O24'
_cell_length_a 8.539
_cell_length_b 8.567
_cell_length_c 9.308
_cell_angle_alpha 116.94
_cell_angle_beta 91.14
_cell_angle_gamma 118.95
_symmetry_space_group_name_H-M 'P 1'
_symmetry_Int_Tables_number 1
loop_
_symmetry_equiv_pos_as_xyz
'x,y,z'
loop_
_atom_site_label
_atom_site_fract_x
_atom_site_fract_y
_atom_site_fract_z
Li1 0.000 0.000 0.000
Li2 0.005 0.821 0.688
Li3 0.234 0.976 0.267
Li4 0.325 0.602 0.777
Li5 0.513 0.627 0.200
Li6 0.533 0.731 0.503
Li7 0.582 0.182 0.742
Li8 0.811 0.204 0.250
Li9 0.930 0.798 0.265
Ti1 0.593 0.469 0.651
Mn1 0.109 0.507 0.178
Mn2 0.402 0.070 0.035
Mn3 0.930 0.142 0.596
P1 0.200 0.282 0.363
P2 0.299 0.285 0.856
P3 0.519 0.989 0.366
P4 0.707 0.974 0.855
P5 0.782 0.548 0.356
P6 0.992 0.604 0.884
O1 0.031 0.667 0.073
O2 0.069 0.470 0.782
O3 0.088 0.109 0.407
O4 0.089 0.371 0.340
O5 0.089 0.808 0.878
O6 0.098 0.100 0.732
O7 0.233 0.163 0.194
O8 0.287 0.427 0.027
O9 0.392 0.468 0.506
O10 0.408 0.426 0.782
O11 0.413 0.199 0.880
O12 0.414 0.774 0.357
O13 0.432 0.950 0.197
O14 0.483 0.143 0.511
O15 0.509 0.896 0.876
O16 0.669 0.322 0.206
O17 0.707 0.019 0.709
O18 0.710 0.682 0.349
O19 0.731 0.075 0.394
O20 0.745 0.798 0.807
O21 0.774 0.547 0.523
O22 0.775 0.473 0.802
O23 0.869 0.164 0.021
O24 0.991 0.662 0.361
# Energy relative to the elements in eV per formula unit: -114.496
# Magnetization in μB per formula unit: 16.00

=====

# Li8TiMn3P6O24 | the Materials Project | PBE+U | relaxed
data_Li8TiMn3P6O24
_chemical_formula_sum 'Li8 Ti1 Mn3 P6 O24'
_cell_length_a 8.438
_cell_length_b 8.490
_cell_length_c 9.347
_cell_angle_alpha 116.81
_cell_angle_beta 90.30
_cell_angle_gamma 119.31
_symmetry_space_group_name_H-M 'P 1'
_symmetry_Int_Tables_number 1
loop_
_symmetry_equiv_pos_as_xyz
'x,y,z'
loop_
_atom_site_label
_atom_site_fract_x
_atom_site_fract_y
_atom_site_fract_z
Li1 0.000 0.000 0.000
Li2 0.063 0.533 0.457
Li3 0.136 0.402 0.740
Li4 0.454 0.255 0.447
Li5 0.535 0.142 0.730
Li6 0.600 0.663 0.179
Li7 0.742 0.970 0.499
Li8 0.860 0.702 0.693
Ti1 0.445 0.639 0.559
Mn1 0.149 0.022 0.625
Mn2 0.649 0.044 0.155
Mn3 0.949 0.619 0.031
P1 0.050 0.146 0.355
P2 0.259 0.843 0.843
P3 0.353 0.828 0.346
P4 0.546 0.531 0.834
P5 0.740 0.538 0.346
P6 0.843 0.112 0.842
O1 0.002 0.087 0.491
O2 0.020 0.964 0.188
O3 0.051 0.749 0.855
O4 0.194 0.707 0.190
O5 0.261 0.645 0.695
O6 0.272 0.332 0.426
O7 0.307 0.997 0.782
O8 0.315 0.681 0.422
O9 0.333 0.363 0.778
O10 0.370 0.030 0.490
O11 0.396 0.934 0.004
O12 0.552 0.893 0.317
O13 0.588 0.597 0.694
O14 0.607 0.726 0.005
O15 0.623 0.645 0.419
O16 0.633 0.319 0.326
O17 0.640 0.960 0.700
O18 0.669 0.443 0.834
O19 0.758 0.543 0.185
O20 0.823 0.136 0.010
O21 0.935 0.675 0.482
O22 0.936 0.236 0.340
O23 0.936 0.321 0.842
O24 0.956 0.005 0.784
# Excess energy over the best structure of this formula in the dataset in meV/atom: 2.0
# Energy relative to the elements in eV per formula unit: -113.664
# Magnetization in μB per formula unit: 15.00

=====

# Li8TiMn3P6O24 | the Materials Project | PBE+U | relaxed
data_Li8TiMn3P6O24
_chemical_formula_sum 'Li8 Ti1 Mn3 P6 O24'
_cell_length_a 8.446
_cell_length_b 8.515
_cell_length_c 9.252
_cell_angle_alpha 90.63
_cell_angle_beta 116.97
_cell_angle_gamma 119.23
_symmetry_space_group_name_H-M 'P 1'
_symmetry_Int_Tables_number 1
loop_
_symmetry_equiv_pos_as_xyz
'x,y,z'
loop_
_atom_site_label
_atom_site_fract_x
_atom_site_fract_y
_atom_site_fract_z
Li1 0.000 0.000 0.000
Li2 0.051 0.290 0.516
Li3 0.297 0.156 0.311
Li4 0.353 0.418 0.830
Li5 0.476 0.945 0.558
Li6 0.605 0.886 0.267
Li7 0.737 0.568 0.562
Li8 0.858 0.485 0.276
Ti1 0.968 0.375 0.860
Mn1 0.362 0.574 0.448
Mn2 0.381 0.070 0.974
Mn3 0.978 0.867 0.379
P1 0.164 0.762 0.165
P2 0.167 0.670 0.666
P3 0.468 0.470 0.173
P4 0.472 0.272 0.670
P5 0.874 0.983 0.658
P6 0.882 0.176 0.160
O1 0.015 0.362 0.306
O2 0.070 0.603 0.005
O3 0.073 0.037 0.827
O4 0.092 0.467 0.701
O5 0.224 0.953 0.126
O6 0.257 0.411 0.000
O7 0.263 0.815 0.826
O8 0.327 0.714 0.610
O9 0.337 0.084 0.524
O10 0.372 0.788 0.312
O11 0.374 0.391 0.613
O12 0.422 0.421 0.317
O13 0.479 0.246 0.834
O14 0.551 0.354 0.146
O15 0.630 0.683 0.220
O16 0.660 0.059 0.135
O17 0.702 0.772 0.604
O18 0.705 0.379 0.700
O19 0.794 0.108 0.685
O20 0.874 0.226 0.994
O21 0.920 0.029 0.511
O22 0.961 0.646 0.513
O23 0.990 0.064 0.203
O24 0.997 0.704 0.214
# Excess energy over the best structure of this formula in the dataset in meV/atom: 0.0
# Energy relative to the elements in eV per formula unit: -113.747
# Magnetization in μB per formula unit: 15.00

=====

# Li8TiMn7P12O48 | the Materials Project | PBE+U | relaxed
data_Li8TiMn7P12O48
_chemical_formula_sum 'Li8 Ti1 Mn7 P12 O48'
_cell_length_a 8.563
_cell_length_b 8.832
_cell_length_c 11.987
_cell_angle_alpha 89.94
_cell_angle_beta 89.89
_cell_angle_gamma 88.61
_symmetry_space_group_name_H-M 'P 1'
_symmetry_Int_Tables_number 1
loop_
_symmetry_equiv_pos_as_xyz
'x,y,z'
loop_
_atom_site_label
_atom_site_fract_x
_atom_site_fract_y
_atom_site_fract_z
Li1 0.000 0.000 0.000
Li2 0.001 0.945 0.360
Li3 0.432 0.498 0.000
Li4 0.433 0.442 0.362
Li5 0.500 0.001 0.862
Li6 0.501 0.946 0.498
Li7 0.933 0.497 0.863
Li8 0.934 0.442 0.499
Ti1 0.971 0.759 0.568
Mn1 0.465 0.683 0.794
Mn2 0.467 0.257 0.567
Mn3 0.469 0.185 0.066
Mn4 0.469 0.758 0.293
Mn5 0.965 0.683 0.067
Mn6 0.967 0.256 0.294
Mn7 0.968 0.186 0.795
P1 0.112 0.326 0.034
P2 0.112 0.617 0.327
P3 0.184 0.472 0.681
P4 0.254 0.970 0.681
P5 0.322 0.115 0.324
P6 0.323 0.827 0.032
P7 0.610 0.615 0.533
P8 0.613 0.326 0.828
P9 0.682 0.473 0.181
P10 0.751 0.967 0.181
P11 0.821 0.827 0.831
P12 0.822 0.118 0.535
O1 0.041 0.739 0.407
O2 0.042 0.207 0.954
O3 0.057 0.489 0.001
O4 0.060 0.459 0.362
O5 0.062 0.283 0.151
O6 0.062 0.659 0.207
O7 0.074 0.565 0.599
O8 0.075 0.390 0.761
O9 0.141 0.116 0.336
O10 0.142 0.824 0.023
O11 0.151 0.861 0.614
O12 0.160 0.079 0.755
O13 0.277 0.578 0.757
O14 0.278 0.365 0.605
O15 0.293 0.325 0.022
O16 0.293 0.620 0.337
O17 0.358 0.050 0.598
O18 0.360 0.879 0.765
O19 0.370 0.155 0.206
O20 0.373 0.782 0.152
O21 0.375 0.985 0.999
O22 0.377 0.952 0.358
O23 0.392 0.234 0.403
O24 0.397 0.703 0.954
O25 0.537 0.740 0.454
O26 0.543 0.207 0.909
O27 0.558 0.490 0.861
O28 0.559 0.458 0.498
O29 0.561 0.659 0.652
O30 0.562 0.282 0.712
O31 0.573 0.563 0.265
O32 0.575 0.389 0.100
O33 0.641 0.119 0.524
O34 0.641 0.824 0.838
O35 0.657 0.861 0.257
O36 0.658 0.076 0.106
O37 0.775 0.579 0.104
O38 0.776 0.365 0.255
O39 0.791 0.623 0.526
O40 0.794 0.325 0.840
O41 0.857 0.050 0.263
O42 0.859 0.878 0.097
O43 0.871 0.160 0.653
O44 0.874 0.984 0.863
O45 0.875 0.784 0.711
O46 0.878 0.954 0.505
O47 0.894 0.235 0.455
O48 0.895 0.702 0.908
# Energy relative to the elements in eV per formula unit: -193.585
# Magnetization in μB per formula unit: 25.00

=====

# Li8TiMn3P6O24 | the Materials Project | PBE+U | relaxed
data_Li8TiMn3P6O24
_chemical_formula_sum 'Li24 Ti3 Mn9 P18 O72'
_cell_length_a 9.0354
_cell_length_b 9.0354
_cell_length_c 21.7093
_cell_angle_alpha 90.00
_cell_angle_beta 90.00
_cell_angle_gamma 120.00
_symmetry_space_group_name_H-M 'R 3'
_symmetry_Int_Tables_number 146
_symmetry_space_group_name_Hall 'R 3'
loop_
_atom_site_label
_atom_site_fract_x
_atom_site_fract_y
_atom_site_fract_z
Li1 0.0000 0.0000 0.0000
Li2 0.0000 0.0000 0.4917
Li3 0.0021 0.4085 0.2396
Li4 0.0917 0.7489 0.0717
Ti1 0.0000 0.0000 0.8164
Mn1 0.0000 0.0000 0.1268
Mn2 0.0000 0.0000 0.3172
Mn3 0.0000 0.0000 0.6226
P1 0.0028 0.2991 0.7155
P2 0.0267 0.6689 0.8794
O1 0.0010 0.8228 0.5505
O2 0.0078 0.2224 0.6529
O3 0.0124 0.1858 0.7682
O4 0.0167 0.7871 0.1518
O5 0.0242 0.1951 0.3914
O6 0.1440 0.6992 0.9345
O7 0.1582 0.4837 0.7177
O8 0.1651 0.6729 0.5428
# Excess energy over the best structure of this formula in the dataset in meV/atom: 41.2
# Energy relative to the elements in eV per formula unit: -112.018
# Magnetization in μB per formula unit: 15.00

=====

# Li6MnV3P6O24 | the Materials Project | PBE+U | relaxed
data_Li6MnV3P6O24
_chemical_formula_sum 'Li12 Mn2 V6 P12 O48'
_cell_length_a 8.514
_cell_length_b 8.798
_cell_length_c 12.421
_cell_angle_alpha 90.42
_cell_angle_beta 92.50
_cell_angle_gamma 90.13
_symmetry_space_group_name_H-M 'P 1'
_symmetry_Int_Tables_number 1
loop_
_symmetry_equiv_pos_as_xyz
'x,y,z'
loop_
_atom_site_label
_atom_site_fract_x
_atom_site_fract_y
_atom_site_fract_z
Li1 0.000 0.000 0.000
Li2 0.000 0.005 0.505
Li3 0.001 0.103 0.252
Li4 0.001 0.899 0.751
Li5 0.288 0.191 0.951
Li6 0.302 0.814 0.457
Li7 0.500 0.596 0.751
Li8 0.503 0.498 0.502
Li9 0.506 0.396 0.250
Li10 0.510 0.494 0.999
Li11 0.709 0.189 0.552
Li12 0.714 0.806 0.053
Mn1 0.286 0.000 0.645
Mn2 0.789 0.501 0.148
V1 0.212 0.498 0.858
V2 0.215 0.499 0.358
V3 0.285 0.995 0.144
V4 0.716 0.000 0.858
V5 0.719 0.997 0.360
V6 0.787 0.500 0.646
P1 0.002 0.798 0.251
P2 0.151 0.355 0.107
P3 0.160 0.645 0.607
P4 0.348 0.852 0.898
P5 0.351 0.146 0.400
P6 0.497 0.289 0.750
P7 0.504 0.704 0.252
P8 0.649 0.144 0.105
P9 0.652 0.850 0.601
P10 0.842 0.643 0.895
P11 0.843 0.355 0.397
P12 0.996 0.202 0.752
O1 0.008 0.581 0.895
O2 0.009 0.416 0.394
O3 0.056 0.092 0.664
O4 0.071 0.908 0.166
O5 0.127 0.294 0.811
O6 0.127 0.701 0.310
O7 0.140 0.177 0.094
O8 0.149 0.825 0.597
O9 0.246 0.403 0.210
O10 0.247 0.408 0.010
O11 0.252 0.057 0.482
O12 0.252 0.938 0.984
O13 0.254 0.595 0.710
O14 0.256 0.596 0.509
O15 0.268 0.904 0.791
O16 0.278 0.096 0.289
O17 0.344 0.321 0.415
O18 0.344 0.676 0.912
O19 0.375 0.192 0.685
O20 0.383 0.798 0.188
O21 0.426 0.395 0.838
O22 0.434 0.593 0.335
O23 0.473 0.100 0.093
O24 0.476 0.887 0.585
O25 0.525 0.891 0.907
O26 0.528 0.108 0.412
O27 0.566 0.398 0.665
O28 0.579 0.598 0.164
O29 0.615 0.190 0.811
O30 0.621 0.803 0.315
O31 0.648 0.320 0.091
O32 0.659 0.675 0.586
O33 0.724 0.901 0.712
O34 0.726 0.095 0.214
O35 0.741 0.592 0.989
O36 0.743 0.398 0.297
O37 0.746 0.058 0.020
O38 0.749 0.407 0.496
O39 0.749 0.597 0.790
O40 0.753 0.937 0.519
O41 0.859 0.178 0.412
O42 0.860 0.820 0.909
O43 0.868 0.300 0.696
O44 0.873 0.708 0.187
O45 0.931 0.094 0.840
O46 0.936 0.908 0.337
O47 0.981 0.412 0.108
O48 0.991 0.590 0.606
# Excess energy over the best structure of this formula in the dataset in meV/atom: 38.9
# Energy relative to the elements in eV per formula unit: -105.890
# Magnetization in μB per formula unit: 10.00